(a)
DFT (PBE+U) results for a relaxed structure of Li3V3P8O29.

Geometry as POSCAR:
```
Li3V3P8O29
1.0
9.747 0.000 0.000
4.873 8.459 0.000
0.018 0.139 14.242
Li V P O
6 6 16 58
direct
0.000 0.000 0.000
0.026 0.717 0.548
0.290 0.348 0.387
0.715 0.347 0.937
0.856 0.795 0.944
0.931 0.080 0.480
0.380 0.594 0.241
0.384 0.022 0.742
0.505 0.462 0.741
0.513 0.023 0.243
0.944 0.587 0.742
0.946 0.453 0.243
0.034 0.243 0.832
0.041 0.706 0.335
0.165 0.110 0.338
0.168 0.716 0.838
0.249 0.946 0.154
0.252 0.804 0.654
0.276 0.360 0.625
0.279 0.360 0.126
0.614 0.689 0.860
0.615 0.689 0.363
0.638 0.242 0.333
0.641 0.107 0.832
0.720 0.334 0.151
0.724 0.942 0.648
0.859 0.333 0.650
0.861 0.800 0.155
0.029 0.287 0.327
0.031 0.404 0.818
0.032 0.675 0.827
0.054 0.543 0.323
0.128 0.512 0.664
0.130 0.362 0.171
0.141 0.035 0.422
0.146 0.027 0.246
0.147 0.808 0.924
0.149 0.824 0.747
0.153 0.021 0.069
0.160 0.806 0.571
0.209 0.109 0.825
0.213 0.678 0.327
0.277 0.366 0.520
0.278 0.363 0.022
0.279 0.212 0.668
0.283 0.504 0.172
0.291 0.939 0.660
0.292 0.768 0.163
0.320 0.118 0.328
0.329 0.561 0.823
0.403 0.952 0.165
0.412 0.645 0.669
0.423 0.212 0.173
0.423 0.362 0.671
0.468 0.836 0.814
0.475 0.677 0.317
0.476 0.397 0.325
0.483 0.105 0.819
0.564 0.491 0.166
0.564 0.944 0.664
0.597 0.106 0.327
0.600 0.841 0.314
0.603 0.282 0.831
0.617 0.538 0.824
0.617 0.689 0.466
0.629 0.692 0.964
0.683 0.375 0.666
0.687 0.939 0.164
0.733 0.256 0.059
0.736 0.220 0.236
0.737 0.017 0.915
0.741 0.223 0.414
0.743 0.015 0.561
0.743 0.029 0.739
0.763 0.692 0.814
0.768 0.549 0.317
0.860 0.367 0.164
0.862 0.490 0.666
0.862 0.765 0.658
0.863 0.642 0.168
0.928 0.249 0.562
0.931 0.815 0.065
0.946 0.235 0.915
0.951 0.817 0.245
0.952 0.224 0.739
0.964 0.790 0.423
```

As for the calculated density: 2.50 Mg/m³. As for the space-group type: P1.

***

(b)
DFT (PBE+U) results for a relaxed structure of Li3V3P8O29.

Geometry as POSCAR:
```
Li3V3P8O29
1.0
9.726 0.000 0.000
4.844 8.438 0.000
0.040 0.073 14.260
Li V P O
6 6 16 58
direct
0.000 0.000 0.000
0.008 0.440 0.502
0.238 0.673 0.889
0.817 0.096 0.391
0.849 0.756 0.951
0.916 0.769 0.445
0.350 0.331 0.190
0.351 0.770 0.685
0.475 0.204 0.696
0.476 0.770 0.201
0.909 0.338 0.701
0.911 0.208 0.192
0.004 0.455 0.286
0.006 0.990 0.784
0.127 0.854 0.287
0.134 0.465 0.788
0.217 0.546 0.603
0.226 0.683 0.105
0.240 0.110 0.578
0.246 0.098 0.078
0.572 0.438 0.812
0.580 0.431 0.311
0.604 0.852 0.784
0.609 0.991 0.284
0.692 0.071 0.098
0.697 0.685 0.600
0.822 0.084 0.606
0.822 0.555 0.107
0.002 0.298 0.268
0.006 0.149 0.769
0.091 0.260 0.619
0.094 0.097 0.120
0.099 0.778 0.369
0.109 0.777 0.190
0.113 0.570 0.696
0.115 0.564 0.521
0.120 0.563 0.871
0.147 0.766 0.015
0.176 0.421 0.272
0.177 0.847 0.778
0.237 0.115 0.474
0.240 0.092 0.974
0.242 0.958 0.621
0.246 0.246 0.121
0.256 0.511 0.110
0.259 0.681 0.609
0.290 0.847 0.278
0.293 0.308 0.776
0.372 0.386 0.614
0.383 0.682 0.123
0.387 0.106 0.625
0.388 0.954 0.128
0.425 0.586 0.768
0.435 0.432 0.262
0.449 0.847 0.768
0.452 0.151 0.271
0.531 0.227 0.111
0.534 0.689 0.612
0.563 0.029 0.776
0.568 0.856 0.281
0.569 0.438 0.916
0.576 0.291 0.765
0.580 0.581 0.271
0.588 0.415 0.415
0.647 0.688 0.117
0.650 0.115 0.615
0.693 0.773 0.869
0.709 0.978 0.366
0.712 0.968 0.191
0.713 0.768 0.693
0.717 0.973 0.014
0.720 0.759 0.516
0.725 0.436 0.769
0.729 0.282 0.267
0.823 0.240 0.622
0.828 0.114 0.106
0.828 0.391 0.118
0.831 0.508 0.609
0.894 0.003 0.516
0.902 0.571 0.023
0.905 0.571 0.202
0.915 0.971 0.695
0.931 0.987 0.875
0.936 0.528 0.378
0.991 0.032 0.280
0.997 0.426 0.780
```

As for the calculated density: 2.51 Mg/m³. As for the space-group type: P1.

***

(c)
DFT (PBE+U) results for a relaxed structure of Li3V3P8O29.

Geometry as POSCAR:
```
Li3V3P8O29
1.0
8.444 -4.897 0.000
8.444 4.897 0.000
-0.086 0.000 13.948
Li V P O
6 6 16 58
direct
0.067 0.933 0.500
0.519 0.936 0.998
0.613 0.753 0.382
0.753 0.613 0.882
0.933 0.067 0.000
0.936 0.519 0.498
0.275 0.405 0.190
0.276 0.834 0.695
0.403 0.844 0.191
0.405 0.275 0.690
0.834 0.276 0.195
0.844 0.403 0.691
0.069 0.928 0.284
0.071 0.529 0.787
0.154 0.611 0.599
0.155 0.752 0.099
0.171 0.174 0.069
0.174 0.171 0.569
0.505 0.510 0.314
0.510 0.505 0.814
0.524 0.930 0.781
0.529 0.071 0.287
0.611 0.154 0.099
0.611 0.752 0.598
0.752 0.155 0.599
0.752 0.611 0.098
0.928 0.069 0.784
0.930 0.524 0.281
0.023 0.171 0.109
0.023 0.327 0.611
0.049 0.634 0.693
0.049 0.835 0.194
0.072 0.602 0.511
0.076 0.606 0.877
0.076 0.846 0.013
0.082 0.849 0.376
0.097 0.927 0.774
0.098 0.499 0.277
0.167 0.180 0.463
0.171 0.023 0.609
0.174 0.321 0.115
0.180 0.167 0.963
0.181 0.756 0.601
0.184 0.582 0.105
0.222 0.937 0.263
0.224 0.367 0.764
0.316 0.459 0.617
0.316 0.747 0.119
0.321 0.174 0.615
0.327 0.023 0.111
0.361 0.507 0.268
0.361 0.656 0.768
0.362 0.937 0.763
0.367 0.224 0.264
0.459 0.316 0.117
0.459 0.745 0.620
0.499 0.098 0.777
0.500 0.926 0.278
0.507 0.361 0.768
0.510 0.513 0.920
0.510 0.659 0.272
0.513 0.510 0.420
0.582 0.184 0.605
0.583 0.758 0.103
0.597 0.841 0.871
0.602 0.072 0.011
0.602 0.832 0.507
0.606 0.076 0.377
0.634 0.049 0.193
0.635 0.840 0.690
0.656 0.361 0.268
0.659 0.510 0.772
0.745 0.459 0.120
0.747 0.316 0.619
0.756 0.181 0.101
0.758 0.583 0.603
0.832 0.602 0.007
0.835 0.049 0.694
0.840 0.635 0.190
0.841 0.597 0.371
0.846 0.076 0.513
0.849 0.082 0.876
0.926 0.500 0.778
0.927 0.097 0.274
0.937 0.222 0.763
0.937 0.362 0.263
```

As for the calculated density: 2.55 Mg/m³. As for the space-group type: Cc.

***

Stability, lowest: (c)

***

(a)
DFT (PBE+U) results for a relaxed structure of Li3Fe8B8O24.

Geometry as POSCAR:
```
Li3Fe8B8O24
1.0
5.239 0.000 0.000
0.068 9.056 0.000
0.043 0.039 10.158
Li Fe B O
3 8 8 24
direct
0.000 0.000 0.000
0.034 0.991 0.502
0.680 0.645 0.234
0.016 0.655 0.965
0.018 0.332 0.462
0.171 0.825 0.222
0.181 0.485 0.712
0.495 0.168 0.964
0.526 0.808 0.471
0.664 0.985 0.720
0.667 0.307 0.213
0.012 0.655 0.461
0.174 0.817 0.716
0.175 0.487 0.214
0.518 0.151 0.465
0.518 0.824 0.964
0.667 0.983 0.209
0.683 0.322 0.708
0.995 0.319 0.964
0.016 0.935 0.695
0.018 0.377 0.267
0.052 0.614 0.164
0.079 0.684 0.766
0.092 0.451 0.910
0.125 0.191 0.955
0.143 0.786 0.435
0.150 0.530 0.509
0.253 0.825 0.991
0.257 0.166 0.469
0.431 0.825 0.683
0.433 0.474 0.215
0.528 0.112 0.179
0.528 0.441 0.708
0.544 0.858 0.255
0.602 0.188 0.759
0.632 0.955 0.918
0.644 0.026 0.515
0.666 0.703 0.987
0.672 0.262 0.412
0.756 0.325 0.024
0.761 0.641 0.433
0.925 0.984 0.188
0.935 0.330 0.658
```

As for the calculated density: 3.23 Mg/m³. As for the space-group type: P1.

***

(b)
DFT (PBE+U) results for a relaxed structure of Li3Fe8B8O24.

Geometry as POSCAR:
```
Li3Fe8B8O24
1.0
5.258 0.000 0.000
2.598 4.590 0.000
0.037 0.189 20.164
Li Fe B O
3 8 8 24
direct
0.000 0.000 0.000
0.002 0.998 0.498
0.974 0.973 0.750
0.011 0.624 0.608
0.012 0.623 0.108
0.334 0.969 0.359
0.340 0.326 0.981
0.343 0.326 0.481
0.349 0.966 0.858
0.648 0.633 0.732
0.661 0.642 0.234
0.006 0.630 0.855
0.329 0.304 0.732
0.334 0.300 0.233
0.343 0.969 0.106
0.344 0.968 0.605
0.669 0.646 0.983
0.673 0.645 0.482
0.999 0.638 0.356
0.033 0.877 0.359
0.053 0.862 0.848
0.065 0.519 0.207
0.077 0.559 0.710
0.113 0.920 0.596
0.119 0.914 0.096
0.217 0.368 0.378
0.222 0.366 0.880
0.298 0.066 0.755
0.313 0.236 0.586
0.315 0.234 0.086
0.344 0.043 0.255
0.416 0.897 0.959
0.421 0.899 0.459
0.567 0.343 0.235
0.593 0.290 0.734
0.606 0.758 0.134
0.608 0.752 0.630
0.684 0.382 0.984
0.685 0.383 0.483
0.735 0.660 0.334
0.738 0.662 0.837
0.906 0.677 0.005
0.912 0.673 0.504
```

As for the calculated density: 3.20 Mg/m³. As for the space-group type: P1.

***

Stability, lowest: (a)